(1)
Entry from Materials Project: a relaxed structure of Fe3O4 (PBE+U).

Geometry as POSCAR:
```
Fe3O4
1.0
6.091 0.000 0.000
0.022 6.092 0.000
0.027 0.047 16.979
Fe O
24 32
direct
0.000 0.000 0.000 Fe
0.000 0.005 0.501 Fe
0.004 0.497 0.254 Fe
0.250 0.001 0.811 Fe
0.250 0.745 0.127 Fe
0.251 0.252 0.128 Fe
0.252 0.500 0.941 Fe
0.253 0.993 0.314 Fe
0.254 0.506 0.441 Fe
0.255 0.251 0.626 Fe
0.259 0.752 0.628 Fe
0.500 0.499 0.751 Fe
0.502 0.498 0.253 Fe
0.503 0.998 0.001 Fe
0.507 0.006 0.502 Fe
0.748 0.255 0.873 Fe
0.748 0.744 0.872 Fe
0.752 0.498 0.066 Fe
0.752 0.998 0.190 Fe
0.753 0.747 0.378 Fe
0.754 0.248 0.374 Fe
0.755 0.495 0.568 Fe
0.756 0.001 0.687 Fe
0.996 0.495 0.749 Fe
0.016 0.999 0.121 O
0.030 0.498 0.126 O
0.035 0.010 0.621 O
0.036 0.497 0.631 O
0.247 0.260 0.745 O
0.249 0.740 0.748 O
0.250 0.746 0.245 O
0.251 0.779 0.006 O
0.253 0.219 0.006 O
0.253 0.247 0.247 O
0.256 0.237 0.507 O
0.256 0.772 0.507 O
0.467 0.491 0.628 O
0.472 0.499 0.127 O
0.477 0.005 0.621 O
0.488 0.997 0.122 O
0.511 0.991 0.381 O
0.514 0.514 0.378 O
0.515 0.000 0.876 O
0.527 0.499 0.872 O
0.751 0.223 0.993 O
0.752 0.222 0.498 O
0.752 0.774 0.993 O
0.753 0.749 0.258 O
0.755 0.252 0.253 O
0.755 0.778 0.498 O
0.757 0.270 0.755 O
0.758 0.727 0.753 O
0.978 0.500 0.870 O
0.986 0.000 0.877 O
0.995 0.516 0.380 O
0.999 0.992 0.383 O
```

Results
DFT formation energy   -1026.9 kJ/mol of formula units

=====

(2)
Entry from Materials Project: a relaxed structure of Fe5O8 (PBE+U).

Geometry as POSCAR:
```
Fe5O8
1.0
8.420 0.000 0.000
0.000 8.420 0.000
0.000 0.000 8.420
Fe O
20 32
direct
0.003 0.497 0.503 Fe
0.115 0.625 0.135 Fe
0.125 0.365 0.885 Fe
0.135 0.115 0.625 Fe
0.247 0.747 0.753 Fe
0.253 0.253 0.253 Fe
0.365 0.885 0.125 Fe
0.375 0.635 0.385 Fe
0.385 0.375 0.635 Fe
0.497 0.503 0.003 Fe
0.503 0.003 0.497 Fe
0.615 0.875 0.865 Fe
0.625 0.135 0.115 Fe
0.635 0.385 0.375 Fe
0.747 0.753 0.247 Fe
0.753 0.247 0.747 Fe
0.865 0.615 0.875 Fe
0.875 0.865 0.615 Fe
0.885 0.125 0.365 Fe
0.997 0.997 0.997 Fe
0.106 0.132 0.868 O
0.108 0.608 0.892 O
0.118 0.144 0.382 O
0.118 0.882 0.644 O
0.132 0.606 0.368 O
0.132 0.868 0.106 O
0.142 0.358 0.642 O
0.144 0.382 0.118 O
0.356 0.618 0.618 O
0.358 0.642 0.142 O
0.368 0.132 0.606 O
0.368 0.394 0.868 O
0.382 0.118 0.144 O
0.382 0.856 0.882 O
0.392 0.392 0.392 O
0.394 0.868 0.368 O
0.606 0.368 0.132 O
0.608 0.892 0.108 O
0.618 0.356 0.618 O
0.618 0.618 0.356 O
0.632 0.632 0.894 O
0.632 0.894 0.632 O
0.642 0.142 0.358 O
0.644 0.118 0.882 O
0.856 0.882 0.382 O
0.858 0.858 0.858 O
0.868 0.106 0.132 O
0.868 0.368 0.394 O
0.882 0.382 0.856 O
0.882 0.644 0.118 O
0.892 0.108 0.608 O
0.894 0.632 0.632 O
```

Results
DFT formation energy   -1853.8 kJ/mol of formula units
Distance to the lowest polymorph of the same formula   0 meV/atom

=====

(3)
Entry from Materials Project: a relaxed structure of FeO (PBE+U).

Geometry as POSCAR:
```
FeO
1.0
9.982 0.000 0.000
-0.074 10.333 0.000
-1.456 -0.209 10.605
Fe O
40 40
direct
0.000 0.000 0.000 Fe
0.001 0.476 0.597 Fe
0.026 0.186 0.773 Fe
0.031 0.021 0.307 Fe
0.090 0.255 0.125 Fe
0.096 0.718 0.457 Fe
0.101 0.732 0.066 Fe
0.130 0.216 0.525 Fe
0.181 0.450 0.360 Fe
0.241 0.893 0.891 Fe
0.299 0.383 0.714 Fe
0.306 0.227 0.953 Fe
0.312 0.809 0.309 Fe
0.330 0.236 0.296 Fe
0.351 0.498 0.115 Fe
0.367 0.803 0.635 Fe
0.379 0.591 0.866 Fe
0.388 0.083 0.736 Fe
0.413 0.983 0.107 Fe
0.428 0.555 0.530 Fe
0.482 0.090 0.484 Fe
0.575 0.351 0.433 Fe
0.580 0.675 0.198 Fe
0.583 0.293 0.184 Fe
0.607 0.322 0.755 Fe
0.635 0.929 0.298 Fe
0.643 0.872 0.565 Fe
0.646 0.626 0.758 Fe
0.680 0.504 0.002 Fe
0.697 0.806 0.993 Fe
0.742 0.011 0.815 Fe
0.774 0.648 0.516 Fe
0.791 0.180 0.030 Fe
0.803 0.173 0.531 Fe
0.868 0.462 0.845 Fe
0.881 0.705 0.273 Fe
0.888 0.406 0.337 Fe
0.944 0.732 0.783 Fe
0.973 0.952 0.606 Fe
0.980 0.498 0.114 Fe
0.051 0.901 0.850 O
0.055 0.647 0.220 O
0.103 0.178 0.955 O
0.138 0.869 0.343 O
0.188 0.414 0.170 O
0.189 0.445 0.551 O
0.227 0.880 0.071 O
0.231 0.202 0.723 O
0.292 0.157 0.449 O
0.307 0.756 0.794 O
0.309 0.710 0.473 O
0.325 0.419 0.919 O
0.366 0.038 0.911 O
0.380 0.671 0.211 O
0.394 0.417 0.384 O
0.412 0.193 0.138 O
0.429 0.957 0.311 O
0.477 0.476 0.705 O
0.485 0.959 0.640 O
0.554 0.472 0.139 O
0.572 0.653 0.921 O
0.581 0.875 0.116 O
0.593 0.685 0.575 O
0.606 0.246 0.580 O
0.661 0.182 0.870 O
0.676 0.021 0.461 O
0.722 0.299 0.336 O
0.722 0.755 0.359 O
0.745 0.806 0.811 O
0.764 0.671 0.112 O
0.797 0.976 0.004 O
0.841 0.380 0.011 O
0.843 0.553 0.683 O
0.869 0.069 0.701 O
0.934 0.572 0.429 O
0.965 0.119 0.156 O
0.966 0.292 0.618 O
0.984 0.077 0.469 O
0.997 0.613 0.941 O
0.997 0.766 0.603 O
```

Results
DFT formation energy   -224.1 kJ/mol of formula units

=====

(4)
Entry from Materials Project: a relaxed structure of Fe4O5 (PBE+U).

Geometry as POSCAR:
```
Fe4O5
1.0
1.454 -5.083 0.000
1.454 5.083 0.000
0.000 0.000 12.806
Fe O
8 10
direct
0.000 0.000 0.000 Fe
0.000 0.000 0.500 Fe
0.261 0.739 0.615 Fe
0.261 0.739 0.885 Fe
0.495 0.505 0.250 Fe
0.505 0.495 0.750 Fe
0.739 0.261 0.115 Fe
0.739 0.261 0.385 Fe
0.081 0.919 0.149 O
0.081 0.919 0.351 O
0.150 0.850 0.750 O
0.368 0.632 0.036 O
0.368 0.632 0.464 O
0.632 0.368 0.536 O
0.632 0.368 0.964 O
0.850 0.150 0.250 O
0.919 0.081 0.649 O
0.919 0.081 0.851 O
```

Results
DFT formation energy   -1319.3 kJ/mol of formula units

=====

(5)
Entry from Materials Project: a relaxed structure of Fe3O4 (PBE+U).

Geometry as POSCAR:
```
Fe3O4
1.0
3.013 0.000 0.000
0.000 10.057 0.000
-0.003 0.000 10.461
Fe O
12 16
direct
0.221 0.000 0.499 Fe
0.228 0.747 0.000 Fe
0.253 0.003 0.176 Fe
0.254 0.004 0.823 Fe
0.254 0.742 0.323 Fe
0.254 0.744 0.677 Fe
0.746 0.242 0.677 Fe
0.746 0.244 0.323 Fe
0.746 0.504 0.177 Fe
0.747 0.503 0.824 Fe
0.772 0.247 0.000 Fe
0.779 0.500 0.501 Fe
0.247 0.110 0.648 O
0.247 0.634 0.148 O
0.247 0.809 0.499 O
0.247 0.935 0.999 O
0.248 0.112 0.349 O
0.248 0.372 0.751 O
0.248 0.633 0.853 O
0.250 0.372 0.251 O
0.750 0.872 0.749 O
0.752 0.133 0.147 O
0.752 0.612 0.651 O
0.752 0.872 0.249 O
0.753 0.134 0.852 O
0.753 0.309 0.501 O
0.753 0.435 0.001 O
0.753 0.610 0.352 O
```

Results
DFT formation energy   -998.7 kJ/mol of formula units

=====

(6)
Entry from Materials Project: a relaxed structure of Fe3O4 (PBE+U).

Geometry as POSCAR:
```
Fe3O4
1.0
6.092 0.000 0.000
0.000 6.091 0.000
-0.047 0.000 16.979
Fe O
24 32
direct
0.000 0.000 0.000 Fe
0.001 0.500 0.745 Fe
0.003 0.000 0.495 Fe
0.008 0.500 0.244 Fe
0.249 0.500 0.558 Fe
0.254 0.000 0.682 Fe
0.256 0.248 0.872 Fe
0.256 0.752 0.872 Fe
0.257 0.000 0.185 Fe
0.257 0.500 0.062 Fe
0.261 0.248 0.371 Fe
0.261 0.752 0.371 Fe
0.504 0.000 0.499 Fe
0.507 0.500 0.246 Fe
0.508 0.500 0.744 Fe
0.511 0.000 0.999 Fe
0.751 0.000 0.305 Fe
0.751 0.244 0.123 Fe
0.751 0.756 0.123 Fe
0.753 0.252 0.619 Fe
0.753 0.748 0.619 Fe
0.754 0.000 0.807 Fe
0.756 0.500 0.932 Fe
0.762 0.500 0.431 Fe
0.002 0.500 0.627 O
0.005 0.000 0.614 O
0.028 0.500 0.366 O
0.030 0.000 0.879 O
0.034 0.000 0.374 O
0.035 0.500 0.867 O
0.247 0.241 0.491 O
0.247 0.759 0.491 O
0.253 0.263 0.751 O
0.253 0.737 0.751 O
0.256 0.235 0.996 O
0.256 0.765 0.996 O
0.266 0.284 0.252 O
0.266 0.716 0.252 O
0.475 0.500 0.866 O
0.478 0.000 0.375 O
0.479 0.000 0.879 O
0.493 0.500 0.366 O
0.503 0.500 0.626 O
0.508 0.000 0.620 O
0.516 0.500 0.128 O
0.527 0.000 0.118 O
0.747 0.285 0.244 O
0.747 0.715 0.244 O
0.755 0.224 0.000 O
0.755 0.279 0.746 O
0.755 0.721 0.746 O
0.755 0.776 0.000 O
0.772 0.244 0.493 O
0.772 0.756 0.493 O
0.984 0.000 0.119 O
0.996 0.500 0.125 O
```

Results
DFT formation energy   -451.7 kJ/mol of formula units

=====

(7)
Entry from Materials Project: a relaxed structure of Fe3O4 (PBE+U).

Geometry as POSCAR:
```
Fe3O4
1.0
4.252 -4.301 0.000
4.252 4.301 0.000
-4.186 0.000 4.288
Fe O
6 8
direct
0.001 0.999 0.500 Fe
0.002 0.504 0.005 Fe
0.381 0.618 0.751 Fe
0.504 0.002 0.505 Fe
0.618 0.381 0.251 Fe
0.999 0.001 0.000 Fe
0.231 0.255 0.002 O
0.246 0.743 0.483 O
0.251 0.746 0.019 O
0.255 0.231 0.502 O
0.739 0.765 0.502 O
0.743 0.246 0.983 O
0.746 0.251 0.519 O
0.765 0.739 0.002 O
```

Results
DFT formation energy   -1099.5 kJ/mol of formula units

=====

(8)
Entry from Materials Project: a relaxed structure of FeO (PBE+U).

Geometry as POSCAR:
```
FeO
1.0
9.945 0.000 0.000
0.676 10.436 0.000
0.451 1.601 10.528
Fe O
40 40
direct
0.000 0.000 0.000 Fe
0.004 0.833 0.477 Fe
0.008 0.588 0.760 Fe
0.030 0.908 0.719 Fe
0.064 0.310 0.886 Fe
0.085 0.695 0.044 Fe
0.138 0.337 0.363 Fe
0.156 0.682 0.338 Fe
0.194 0.038 0.381 Fe
0.217 0.376 0.644 Fe
0.236 0.079 0.657 Fe
0.258 0.878 0.160 Fe
0.272 0.790 0.877 Fe
0.283 0.177 0.078 Fe
0.316 0.665 0.602 Fe
0.321 0.540 0.178 Fe
0.342 0.491 0.883 Fe
0.430 0.456 0.411 Fe
0.444 0.197 0.332 Fe
0.453 0.708 0.326 Fe
0.474 0.891 0.607 Fe
0.496 0.975 0.902 Fe
0.507 0.164 0.597 Fe
0.522 0.953 0.220 Fe
0.562 0.289 0.896 Fe
0.589 0.448 0.635 Fe
0.593 0.662 0.822 Fe
0.611 0.735 0.079 Fe
0.672 0.437 0.180 Fe
0.702 0.139 0.109 Fe
0.704 0.725 0.439 Fe
0.725 0.065 0.447 Fe
0.740 0.105 0.759 Fe
0.759 0.342 0.439 Fe
0.807 0.462 0.935 Fe
0.834 0.791 0.899 Fe
0.865 0.856 0.237 Fe
0.939 0.549 0.491 Fe
0.941 0.262 0.649 Fe
0.955 0.229 0.165 Fe
0.059 0.389 0.518 O
0.076 0.745 0.828 O
0.085 0.187 0.298 O
0.101 0.159 0.017 O
0.103 0.981 0.555 O
0.128 0.214 0.736 O
0.128 0.673 0.540 O
0.132 0.891 0.311 O
0.166 0.459 0.804 O
0.263 0.607 0.007 O
0.318 0.363 0.288 O
0.335 0.092 0.481 O
0.337 0.055 0.229 O
0.380 0.296 0.957 O
0.381 0.470 0.590 O
0.403 0.734 0.747 O
0.423 0.024 0.725 O
0.442 0.870 0.078 O
0.491 0.759 0.492 O
0.518 0.549 0.246 O
0.542 0.483 0.821 O
0.561 0.295 0.451 O
0.603 0.259 0.721 O
0.612 0.093 0.286 O
0.630 0.820 0.888 O
0.631 0.103 0.941 O
0.649 0.796 0.250 O
0.683 0.329 0.024 O
0.721 0.582 0.039 O
0.736 0.523 0.509 O
0.815 0.886 0.431 O
0.816 0.164 0.566 O
0.817 0.628 0.803 O
0.818 0.318 0.267 O
0.884 0.060 0.150 O
0.895 0.985 0.826 O
0.901 0.373 0.791 O
0.932 0.815 0.062 O
0.953 0.678 0.340 O
0.968 0.386 0.030 O
```

Results
DFT formation energy   -232.3 kJ/mol of formula units

=====

Q: Which value of DFT formation energy does entry 7 give?
A: -1099.5 kJ/mol of formula units

=====

Copy entry 1 word for word.
Entry from Materials Project: a relaxed structure of Fe3O4 (PBE+U).

Geometry as POSCAR:
```
Fe3O4
1.0
6.091 0.000 0.000
0.022 6.092 0.000
0.027 0.047 16.979
Fe O
24 32
direct
0.000 0.000 0.000 Fe
0.000 0.005 0.501 Fe
0.004 0.497 0.254 Fe
0.250 0.001 0.811 Fe
0.250 0.745 0.127 Fe
0.251 0.252 0.128 Fe
0.252 0.500 0.941 Fe
0.253 0.993 0.314 Fe
0.254 0.506 0.441 Fe
0.255 0.251 0.626 Fe
0.259 0.752 0.628 Fe
0.500 0.499 0.751 Fe
0.502 0.498 0.253 Fe
0.503 0.998 0.001 Fe
0.507 0.006 0.502 Fe
0.748 0.255 0.873 Fe
0.748 0.744 0.872 Fe
0.752 0.498 0.066 Fe
0.752 0.998 0.190 Fe
0.753 0.747 0.378 Fe
0.754 0.248 0.374 Fe
0.755 0.495 0.568 Fe
0.756 0.001 0.687 Fe
0.996 0.495 0.749 Fe
0.016 0.999 0.121 O
0.030 0.498 0.126 O
0.035 0.010 0.621 O
0.036 0.497 0.631 O
0.247 0.260 0.745 O
0.249 0.740 0.748 O
0.250 0.746 0.245 O
0.251 0.779 0.006 O
0.253 0.219 0.006 O
0.253 0.247 0.247 O
0.256 0.237 0.507 O
0.256 0.772 0.507 O
0.467 0.491 0.628 O
0.472 0.499 0.127 O
0.477 0.005 0.621 O
0.488 0.997 0.122 O
0.511 0.991 0.381 O
0.514 0.514 0.378 O
0.515 0.000 0.876 O
0.527 0.499 0.872 O
0.751 0.223 0.993 O
0.752 0.222 0.498 O
0.752 0.774 0.993 O
0.753 0.749 0.258 O
0.755 0.252 0.253 O
0.755 0.778 0.498 O
0.757 0.270 0.755 O
0.758 0.727 0.753 O
0.978 0.500 0.870 O
0.986 0.000 0.877 O
0.995 0.516 0.380 O
0.999 0.992 0.383 O
```

Results
DFT formation energy   -1026.9 kJ/mol of formula units

=====

Q: Among the records above, which one has the highest DFT formation energy?
A: number 3

=====

Q: What is the DFT formation energy in the eighth record?
A: -232.3 kJ/mol of formula units